The following is a DFT calculation (PBE-GGA) of a relaxed structure of CsReF6.

Computed properties:
ρ   4.62 g/cm3
ΔE_f   -2723 meV/atom

Lattice parameters (Å, degrees): 8.0585 8.0585 8.2992 90.00 90.00 120.00
Space group R-3 (No. 148, hexagonal axes)
One atom of each set of equivalent atoms:
Cs (0.0000, 0.0000, 0.0000) (multiplicity 3)
Re (0.0000, 0.0000, 0.5000) (multiplicity 3)
F (0.0594, 0.8431, 0.6352) (multiplicity 18)